No. 1
U2In8Rh | PBE | optimized geometry

Results
DFT total energy = -4.85 eV/atom

Unit cell a=4.6697 b=4.6697 c=12.1274 alpha=90.00 beta=90.00 gamma=90.00
Atoms (fractional coordinates):
U  0.0000  0.0000  0.1911
U  0.0000  0.0000  0.8089
In  0.0000  0.5000  0.0000
In  0.0000  0.5000  0.3764
In  0.0000  0.5000  0.6236
In  0.5000  0.0000  0.0000
In  0.5000  0.0000  0.3764
In  0.5000  0.0000  0.6236
In  0.5000  0.5000  0.1906
In  0.5000  0.5000  0.8094
Rh  0.0000  0.0000  0.5000


No. 2
Ba2PrBiO6 | PBE | optimized geometry

Results
DFT total energy = -6.54 eV/atom

Unit cell a=8.8897 b=8.8897 c=8.8897 alpha=90.00 beta=90.00 gamma=90.00
Atoms (fractional coordinates):
Ba  0.2500  0.2500  0.2500
Ba  0.2500  0.2500  0.7500
Ba  0.2500  0.7500  0.2500
Ba  0.2500  0.7500  0.7500
Ba  0.7500  0.2500  0.2500
Ba  0.7500  0.2500  0.7500
Ba  0.7500  0.7500  0.2500
Ba  0.7500  0.7500  0.7500
Pr  0.0000  0.0000  0.0000
Pr  0.0000  0.5000  0.5000
Pr  0.5000  0.0000  0.5000
Pr  0.5000  0.5000  0.0000
Bi  0.0000  0.0000  0.5000
Bi  0.0000  0.5000  0.0000
Bi  0.5000  0.0000  0.0000
Bi  0.5000  0.5000  0.5000
O  0.0249  0.5279  0.7616
O  0.0249  0.9721  0.7384
O  0.0279  0.2384  0.5249
O  0.0279  0.2616  0.9751
O  0.2384  0.5249  0.0279
O  0.2384  0.9751  0.4721
O  0.2616  0.5249  0.4721
O  0.2616  0.9751  0.0279
O  0.4721  0.2384  0.9751
O  0.4721  0.2616  0.5249
O  0.4751  0.5279  0.7384
O  0.4751  0.9721  0.7616
O  0.5249  0.0279  0.2384
O  0.5249  0.4721  0.2616
O  0.5279  0.7384  0.4751
O  0.5279  0.7616  0.0249
O  0.7384  0.0249  0.9721
O  0.7384  0.4751  0.5279
O  0.7616  0.0249  0.5279
O  0.7616  0.4751  0.9721
O  0.9721  0.7384  0.0249
O  0.9721  0.7616  0.4751
O  0.9751  0.0279  0.2616
O  0.9751  0.4721  0.2384


No. 3
YGe2Ru2 | PBE | optimized geometry

Results
DFT total energy = -7.51 eV/atom

Unit cell a=5.8044 b=5.8044 c=5.8044 alpha=136.82 beta=136.82 gamma=62.72
Atoms (fractional coordinates):
Y  0.0000  0.0000  0.0000
Ge  0.3698  0.3698  0.0000
Ge  0.6302  0.6302  0.0000
Ru  0.2500  0.7500  0.5000
Ru  0.7500  0.2500  0.5000


No. 4
PrHo3 | PBE | optimized geometry

Results
DFT total energy = -4.61 eV/atom
offset from the most stable computed form = 0 meV per atom

Unit cell a=7.2688 b=7.2688 c=5.7226 alpha=90.00 beta=90.00 gamma=120.00
Atoms (fractional coordinates):
Pr  0.3333  0.6667  0.2500
Pr  0.6667  0.3333  0.7500
Ho  0.1648  0.3295  0.7500
Ho  0.1648  0.8352  0.7500
Ho  0.3295  0.1648  0.2500
Ho  0.6705  0.8352  0.7500
Ho  0.8352  0.1648  0.2500
Ho  0.8352  0.6705  0.2500


No. 5
GaBi3 | PBE | optimized geometry

Results
DFT total energy = -3.55 eV/atom

Unit cell a=4.9177 b=4.9177 c=4.9177 alpha=90.00 beta=90.00 gamma=90.00
Atoms (fractional coordinates):
Ga  0.0000  0.0000  0.0000
Bi  0.0000  0.5000  0.5000
Bi  0.5000  0.0000  0.5000
Bi  0.5000  0.5000  0.0000


No. 6
Na6Sc4Ti4Si5S7O48 | PBE | optimized geometry

Results
DFT total energy = -7.15 eV/atom

Unit cell a=8.8380 b=15.3649 c=22.7598 alpha=89.94 beta=89.95 gamma=89.95
Atoms (fractional coordinates):
Na  0.0000  0.0000  0.0000
Na  0.9998  0.3287  0.3383
Na  0.0035  0.3306  0.8226
Na  0.0103  0.0009  0.4994
Na  0.0187  0.6805  0.1633
Na  0.1302  0.4996  0.7473
Na  0.3711  0.9991  0.2486
Na  0.4962  0.1787  0.6691
Na  0.4980  0.8389  0.3274
Na  0.4985  0.5023  0.9933
Na  0.5039  0.4996  0.5045
Na  0.5053  0.8313  0.8351
Na  0.5110  0.1715  0.1613
Na  0.6401  0.0005  0.7512
Na  0.6463  0.6661  0.4235
Na  0.8636  0.1647  0.9154
Na  0.8702  0.5001  0.2524
Na  0.9933  0.6731  0.6632
Sc  0.0068  0.6695  0.3128
Sc  0.0083  0.3218  0.1778
Sc  0.0139  0.3255  0.6892
Sc  0.0147  0.3307  0.9846
Sc  0.4880  0.8315  0.1855
Sc  0.4877  0.8324  0.4867
Sc  0.4939  0.8231  0.6780
Sc  0.5088  0.1669  0.8083
Sc  0.5104  0.4960  0.3563
Sc  0.5210  0.1680  0.3128
Sc  0.9837  0.6697  0.8122
Sc  0.9930  0.0020  0.8531
Ti  0.0017  0.6651  0.0149
Ti  0.0115  0.0102  0.6397
Ti  0.4876  0.5027  0.1362
Ti  0.5072  0.1633  0.5178
Ti  0.5103  0.8251  0.9755
Ti  0.5161  0.4984  0.8486
Ti  0.5172  0.1635  0.0227
Ti  0.5182  0.4992  0.6477
Ti  0.9861  0.9981  0.1468
Ti  0.9884  0.6629  0.5252
Ti  0.9891  0.9985  0.3491
Ti  0.9940  0.3255  0.4766
Si  0.1391  0.8564  0.2487
Si  0.1540  0.1917  0.5798
Si  0.1982  0.8330  0.5819
Si  0.3002  0.3290  0.0809
Si  0.3506  0.6915  0.0803
Si  0.3651  0.3575  0.7487
Si  0.6408  0.0187  0.9158
Si  0.6413  0.6818  0.5802
Si  0.7077  0.6614  0.9164
Si  0.7089  0.9996  0.2477
Si  0.7973  0.1620  0.4162
Si  0.7965  0.5017  0.7475
Si  0.8596  0.1432  0.7479
Si  0.8617  0.1815  0.0802
Si  0.8675  0.5200  0.4150
S  0.1425  0.1438  0.2496
S  0.1473  0.5217  0.9147
S  0.1489  0.4780  0.5801
S  0.1504  0.8102  0.9165
S  0.2144  0.4988  0.2469
S  0.2160  0.1672  0.9161
S  0.2902  0.9975  0.7474
S  0.2935  0.6679  0.4155
S  0.3546  0.3094  0.4164
S  0.3552  0.9790  0.0803
S  0.3571  0.0215  0.4146
S  0.3626  0.6438  0.7498
S  0.6445  0.6430  0.2477
S  0.6457  0.3138  0.9166
S  0.6458  0.3576  0.2458
S  0.6508  0.9826  0.5821
S  0.7099  0.3320  0.5797
S  0.7945  0.8315  0.0803
S  0.8542  0.4833  0.0834
S  0.8583  0.8564  0.7461
S  0.8588  0.8143  0.4162
O  0.0624  0.7608  0.2528
O  0.0723  0.2316  0.2462
O  0.0727  0.2396  0.5233
O  0.0728  0.4363  0.9210
O  0.0739  0.9101  0.1909
O  0.0767  0.0932  0.5869
O  0.0789  0.1021  0.3032
O  0.0805  0.4456  0.6351
O  0.0800  0.8968  0.9134
O  0.0829  0.5682  0.5716
O  0.0828  0.7647  0.9686
O  0.0884  0.5635  0.8606
O  0.0876  0.9174  0.5943
O  0.0967  0.7453  0.5682
O  0.1065  0.9210  0.3062
O  0.1092  0.2441  0.9190
O  0.1111  0.4228  0.2424
O  0.1120  0.5775  0.9676
O  0.1143  0.4232  0.5289
O  0.1159  0.0912  0.1959
O  0.1179  0.0874  0.9132
O  0.1179  0.5787  0.2491
O  0.1279  0.7587  0.8628
O  0.1369  0.2483  0.6378
O  0.1701  0.6737  0.0669
O  0.1824  0.3582  0.7459
O  0.1892  0.3213  0.4236
O  0.1892  0.9886  0.0862
O  0.1909  0.0135  0.4116
O  0.1943  0.0056  0.6941
O  0.1956  0.6511  0.7554
O  0.2001  0.9843  0.8008
O  0.2015  0.3152  0.1399
O  0.2006  0.3565  0.0246
O  0.2010  0.6575  0.4676
O  0.2033  0.6795  0.3612
O  0.3011  0.8562  0.5247
O  0.3029  0.8139  0.6389
O  0.3051  0.1785  0.8620
O  0.3076  0.4891  0.3002
O  0.3094  0.1516  0.2552
O  0.3090  0.1604  0.9689
O  0.3127  0.5078  0.1940
O  0.3136  0.5140  0.9125
O  0.3153  0.4883  0.5849
O  0.3166  0.8198  0.9245
O  0.3237  0.8532  0.2455
O  0.3348  0.1742  0.5641
O  0.3741  0.7459  0.1394
O  0.3785  0.2594  0.3621
O  0.3835  0.0780  0.7499
O  0.3892  0.5912  0.6960
O  0.3892  0.9230  0.0297
O  0.3927  0.0765  0.4671
O  0.3934  0.5886  0.4095
O  0.3973  0.9223  0.7419
O  0.3979  0.7446  0.4180
O  0.4012  0.4222  0.8065
O  0.4070  0.2448  0.0700
O  0.4120  0.4168  0.0935
O  0.4166  0.0628  0.3600
O  0.4222  0.0681  0.0728
O  0.4239  0.2668  0.4681
O  0.4237  0.9450  0.1357
O  0.4248  0.3980  0.4118
O  0.4263  0.6021  0.8033
O  0.4285  0.5919  0.0899
O  0.4312  0.9352  0.4198
O  0.4323  0.7312  0.7462
O  0.4325  0.7379  0.0243
O  0.4333  0.4112  0.6910
O  0.4393  0.2625  0.7530
O  0.5654  0.5853  0.5891
O  0.5661  0.9229  0.9304
O  0.5730  0.4010  0.9104
O  0.5739  0.0571  0.8547
O  0.5746  0.2713  0.2505
O  0.5776  0.7235  0.5191
O  0.5795  0.0712  0.5748
O  0.5811  0.2732  0.9698
O  0.5806  0.7302  0.2424
O  0.5836  0.6036  0.3029
O  0.5846  0.9453  0.6363
O  0.5857  0.4026  0.1938
O  0.5980  0.0845  0.2517
O  0.5987  0.5766  0.9108
O  0.6034  0.7498  0.9263
O  0.6036  0.0883  0.9698
O  0.6071  0.9132  0.2439
O  0.6088  0.2541  0.5709
O  0.6105  0.4106  0.5841
O  0.6124  0.5859  0.1967
O  0.6165  0.4099  0.3001
O  0.6213  0.9289  0.5299
O  0.6216  0.2592  0.8638
O  0.6244  0.7439  0.6370
O  0.6742  0.1438  0.7482
O  0.6756  0.1700  0.0731
O  0.6786  0.5148  0.4112
O  0.6795  0.1526  0.4723
O  0.6824  0.4932  0.8053
O  0.6837  0.5164  0.6904
O  0.6868  0.4945  0.0907
O  0.6893  0.8498  0.7430
O  0.6916  0.8239  0.4204
O  0.6975  0.1842  0.3586
O  0.6992  0.8453  0.0275
O  0.7054  0.8181  0.1336
O  0.7983  0.3181  0.6327
O  0.8052  0.3454  0.5265
O  0.8085  0.6835  0.8594
O  0.8129  0.3242  0.9218
O  0.8134  0.6481  0.2514
O  0.8144  0.3511  0.2430
O  0.8168  0.9930  0.5868
O  0.8209  0.0144  0.1905
O  0.8231  0.9918  0.3053
O  0.8274  0.0129  0.9153
O  0.8271  0.6532  0.9727
O  0.8285  0.6698  0.5737
O  0.8781  0.2432  0.1376
O  0.8784  0.4286  0.0314
O  0.8844  0.7590  0.3631
O  0.8878  0.9072  0.8006
O  0.8937  0.9104  0.0853
O  0.8960  0.7539  0.0720
O  0.8990  0.5900  0.4683
O  0.8999  0.4171  0.7434
O  0.9020  0.2501  0.4262
O  0.9031  0.0762  0.6927
O  0.9049  0.5875  0.7515
O  0.9068  0.0769  0.4092
O  0.9199  0.4452  0.1376
O  0.9200  0.8978  0.6933
O  0.9235  0.5713  0.0758
O  0.9236  0.7733  0.4689
O  0.9248  0.1004  0.8088
O  0.9282  0.2244  0.0202
O  0.9290  0.5592  0.3524
O  0.9285  0.7688  0.7511
O  0.9304  0.2388  0.7435
O  0.9313  0.9011  0.4093
O  0.9384  0.4239  0.4279
O  0.9387  0.0852  0.0901